[1]
## HoAlNi (PBE)

Data for crystalline HoAlNi at its relaxed geometry.

Output
Its volume is 161 Å³/cell. The value obtained for the final energy is -47.9 eV for the cell shown. Its formation enthalpy at 0 K is -0.616 eV/atom.

Geometry as POSCAR:
```
HoAlNi
1.0
6.909 0.000 0.000
-3.455 5.984 0.000
0.000 0.000 3.901
Ho Al Ni
3 3 3
Direct
0.000 0.417 0.000 Ho
0.417 0.000 0.000 Ho
0.583 0.583 0.000 Ho
0.000 0.765 0.500 Al
0.235 0.235 0.500 Al
0.765 0.000 0.500 Al
0.000 0.000 0.000 Ni
0.333 0.667 0.500 Ni
0.667 0.333 0.500 Ni
```



[2]
## HoAl8Ni3 (PBE)

Data for crystalline HoAl8Ni3 at its relaxed geometry.

Output
Its volume is 193 Å³/cell. The value obtained for the final energy is -55.5 eV for the cell shown. Its formation enthalpy at 0 K is -0.300 eV/atom.

Geometry as POSCAR:
```
HoAl8Ni3
1.0
6.661 0.000 0.000
0.000 1.972 7.356
0.000 -1.972 7.356
Ho Al Ni
1 8 3
Direct
0.000 0.000 0.000 Ho
0.000 0.200 0.200 Al
0.211 0.805 0.805 Al
0.266 0.630 0.630 Al
0.307 0.435 0.435 Al
0.500 0.061 0.061 Al
0.693 0.435 0.435 Al
0.734 0.630 0.630 Al
0.789 0.805 0.805 Al
0.000 0.356 0.356 Ni
0.500 0.248 0.248 Ni
0.500 0.899 0.899 Ni
```



[3]
## Ho3AlNi8 (PBE)

Data for crystalline Ho3AlNi8 at its relaxed geometry.

Output
Its volume is 350 Å³/cell. The value obtained for the final energy is -138.6 eV for the cell shown. Its formation enthalpy at 0 K is -0.464 eV/atom.

Geometry as POSCAR:
```
Ho3AlNi8
1.0
5.039 0.000 0.000
-2.519 4.364 0.000
0.000 0.000 15.917
Ho Al Ni
6 2 16
Direct
0.333 0.667 0.045 Ho
0.333 0.667 0.250 Ho
0.333 0.667 0.455 Ho
0.667 0.333 0.545 Ho
0.667 0.333 0.750 Ho
0.667 0.333 0.955 Ho
0.000 0.000 0.000 Al
0.000 0.000 0.500 Al
0.000 0.000 0.250 Ni
0.000 0.000 0.750 Ni
0.170 0.339 0.625 Ni
0.170 0.339 0.875 Ni
0.170 0.830 0.625 Ni
0.170 0.830 0.875 Ni
0.333 0.667 0.750 Ni
0.339 0.170 0.125 Ni
0.339 0.170 0.375 Ni
0.661 0.830 0.625 Ni
0.661 0.830 0.875 Ni
0.667 0.333 0.250 Ni
0.830 0.170 0.125 Ni
0.830 0.170 0.375 Ni
0.830 0.661 0.125 Ni
0.830 0.661 0.375 Ni
```



[4]
## HoAlNi (PBE)

Data for crystalline HoAlNi at its relaxed geometry.

Output
Its volume is 209 Å³/cell. The value obtained for the final energy is -62.7 eV for the cell shown. Its formation enthalpy at 0 K is -0.526 eV/atom.

Geometry as POSCAR:
```
HoAlNi
1.0
8.476 0.000 0.000
0.000 2.683 4.589
0.000 -2.683 4.589
Ho Al Ni
4 4 4
Direct
0.177 0.000 0.000 Ho
0.294 0.337 0.337 Ho
0.706 0.337 0.337 Ho
0.823 0.000 0.000 Ho
0.239 0.674 0.674 Al
0.500 0.329 0.837 Al
0.500 0.837 0.329 Al
0.761 0.674 0.674 Al
0.000 0.006 0.501 Ni
0.000 0.501 0.006 Ni
0.000 0.502 0.502 Ni
0.500 0.838 0.838 Ni
```